Li4TiCo3O8, relaxed, DFT PBE+U; excess energy over the best structure of this formula in the dataset = 11 meV per atom; space-group type = P-1; ΔE_f = -2.0733 eV per atom; crystal system = triclinic
1.0
5.926 0.000 0.000
-0.108 5.943 0.000
-0.038 -0.085 8.361
Li Ti Co O
8 2 6 16
Direct
0.000 0.000 0.000
0.000 0.500 0.500
0.247 0.247 0.249
0.250 0.750 0.749
0.500 0.000 0.000
0.500 0.500 0.500
0.750 0.250 0.251
0.753 0.753 0.751
0.000 0.500 0.000
0.500 0.000 0.500
0.000 0.000 0.500
0.248 0.249 0.750
0.253 0.749 0.249
0.500 0.500 0.000
0.747 0.251 0.751
0.752 0.751 0.250
0.003 0.496 0.763
0.008 0.021 0.732
0.237 0.263 0.999
0.245 0.733 0.001
0.246 0.225 0.500
0.270 0.758 0.496
0.482 0.480 0.765
0.493 0.005 0.737
0.507 0.995 0.263
0.518 0.520 0.235
0.730 0.242 0.504
0.754 0.775 0.500
0.755 0.267 0.999
0.763 0.737 0.001
0.992 0.979 0.268
0.997 0.504 0.237